Density functional theory data (PBE+U) for a relaxed structure of FeP4C4O10.

## Properties
Uncorrected energy   -133.01 eV/f.u.
Density   2.0 g/cm³
Volume   1302.71 Å³/cell
Formation energy from the elements   -1348 meV/atom

Lattice parameters (Å, degrees): 13.130 9.500 13.643 49.96 90.00 90.00
Atoms (fractional coordinates):
1 P 0.914 0.183 0.733
2 P 0.893 0.912 0.322
3 P 0.107 0.088 0.678
4 P 0.414 0.817 0.767
5 P 0.586 0.183 0.233
6 P 0.919 0.882 0.723
7 P 0.419 0.118 0.777
8 P 0.482 0.836 0.439
9 P 0.518 0.164 0.561
10 P 0.018 0.836 0.939
11 P 0.607 0.912 0.822
12 P 0.086 0.817 0.267
13 P 0.581 0.882 0.223
14 P 0.393 0.088 0.178
15 P 0.081 0.118 0.277
16 P 0.982 0.164 0.061
17 O 0.529 0.022 0.849
18 O 0.306 0.294 0.362
19 O 0.741 0.478 0.461
20 O 0.476 0.239 0.160
21 O 0.029 0.978 0.651
22 O 0.363 0.938 0.800
23 O 0.547 0.760 0.376
24 O 0.241 0.522 0.039
25 O 0.052 0.977 0.117
26 O 0.885 0.062 0.164
27 O 0.694 0.706 0.638
28 O 0.220 0.858 0.559
29 O 0.448 0.977 0.617
30 O 0.524 0.761 0.840
31 O 0.953 0.760 0.876
32 O 0.509 0.410 0.826
33 O 0.948 0.023 0.883
34 O 0.137 0.938 0.300
35 O 0.971 0.022 0.349
36 O 0.720 0.142 0.941
37 O 0.453 0.240 0.624
38 O 0.780 0.142 0.441
39 O 0.491 0.590 0.174
40 O 0.115 0.938 0.836
41 O 0.552 0.023 0.383
42 O 0.637 0.062 0.200
43 O 0.385 0.938 0.336
44 O 0.280 0.858 0.059
45 O 0.194 0.294 0.862
46 O 0.991 0.410 0.326
47 O 0.976 0.761 0.340
48 O 0.806 0.706 0.138
49 O 0.759 0.478 0.961
50 O 0.047 0.240 0.124
51 O 0.009 0.590 0.674
52 O 0.615 0.062 0.664
53 O 0.259 0.522 0.539
54 O 0.471 0.978 0.151
55 O 0.863 0.062 0.700
56 O 0.024 0.239 0.660
57 C 0.065 0.484 0.319
58 C 0.259 0.754 0.658
59 C 0.273 0.552 0.948
60 C 0.744 0.589 0.659
61 C 0.256 0.411 0.341
62 C 0.741 0.246 0.342
63 C 0.227 0.552 0.448
64 C 0.759 0.246 0.842
65 C 0.435 0.484 0.819
66 C 0.727 0.448 0.052
67 C 0.244 0.411 0.841
68 C 0.756 0.589 0.159
69 C 0.565 0.516 0.181
70 C 0.773 0.448 0.552
71 C 0.241 0.754 0.158
72 C 0.935 0.516 0.681
73 Fe 0.321 0.594 0.809
74 Fe 0.821 0.406 0.691
75 Fe 0.179 0.594 0.309
76 Fe 0.679 0.406 0.191